1.
First-principles (PBE) data for Si7RuN10 after structural relaxation, as listed in the Materials Project.

Calculated formation energy, eV/atom: -0.919
Total moment, μB/f.u.: 0.00
Raw total energy, eV per atom: -7.9751
Energy with MP2020 corrections, eV per cell: -294.325

```
data_Si7RuN10
_cell_length_a 6.715
_cell_length_b 6.930
_cell_length_c 9.759
_cell_angle_alpha 90.00
_cell_angle_beta 105.19
_cell_angle_gamma 90.00
_symmetry_space_group_name_H-M 'P 1 c 1'
_symmetry_Int_Tables_number 7
_symmetry_space_group_name_Hall 'P -2yc'
loop_
_atom_site_label
_atom_site_type_symbol
_atom_site_fract_x
_atom_site_fract_y
_atom_site_fract_z
_atom_site_occupancy
Si1 Si 0.000 0.018 0.000 1
Si2 Si 0.121 0.360 0.668 1
Si3 Si 0.313 0.380 0.993 1
Si4 Si 0.579 0.398 0.758 1
Si5 Si 0.759 0.382 0.062 1
Si6 Si 0.813 0.020 0.700 1
Si7 Si 0.951 0.370 0.366 1
Ru1 Ru 0.461 0.102 0.889 1
N1 N 0.015 0.133 0.647 1
N2 N 0.167 0.415 0.505 1
N3 N 0.205 0.158 0.994 1
N4 N 0.345 0.375 0.811 1
N5 N 0.543 0.435 0.120 1
N6 N 0.623 0.161 0.729 1
N7 N 0.755 0.496 0.905 1
N8 N 0.769 0.129 0.041 1
N9 N 0.910 0.124 0.348 1
N10 N 0.964 0.458 0.202 1
```

2.
First-principles (PBE) data for Mg3Nb after structural relaxation, as listed in the Materials Project.

Calculated formation energy, eV/atom: 0.257
Total moment, μB/f.u.: 0.00
Raw total energy, eV per atom: -3.4690

```
data_Mg3Nb
_cell_length_a 2.877
_cell_length_b 5.065
_cell_length_c 5.621
_cell_angle_alpha 90.00
_cell_angle_beta 90.00
_cell_angle_gamma 90.00
_symmetry_space_group_name_H-M 'P m m 2'
_symmetry_Int_Tables_number 25
_symmetry_space_group_name_Hall 'P 2 -2'
loop_
_atom_site_label
_atom_site_type_symbol
_atom_site_fract_x
_atom_site_fract_y
_atom_site_fract_z
_atom_site_occupancy
Mg1 Mg 0.000 0.000 0.000 1
Mg2 Mg 0.000 0.500 0.326 1
Mg3 Mg 0.500 0.000 0.537 1
Nb1 Nb 0.500 0.500 0.828 1
```

3.
First-principles (PBE) data for Ta3Bi after structural relaxation, as listed in the Materials Project.

Calculated formation energy, eV/atom: 0.344
Total moment, μB/f.u.: 0.01
Raw total energy, eV per atom: -9.5217

```
data_Ta3Bi
_cell_length_a 4.278
_cell_length_b 4.278
_cell_length_c 4.278
_cell_angle_alpha 90.00
_cell_angle_beta 90.00
_cell_angle_gamma 90.00
_symmetry_space_group_name_H-M 'P m -3 m'
_symmetry_Int_Tables_number 221
_symmetry_space_group_name_Hall '-P 4 2 3'
loop_
_atom_site_label
_atom_site_type_symbol
_atom_site_fract_x
_atom_site_fract_y
_atom_site_fract_z
_atom_site_occupancy
Ta1 Ta 0.000 0.000 0.500 1
Bi1 Bi 0.500 0.500 0.500 1
```

> Which value of calculated formation energy does entry 2 give?

0.257 eV/atom